## Zr2N2O (PBE-GGA)

Data for an optimized crystal structure of Zr2N2O.

a b c (Å): 13.8049 3.3294 16.6463
angles (deg): 90.00 100.27 90.00
Space group Cm (No. 8)
One atom of each set of equivalent atoms:
Zr: 0.0000 0.0000 0.0000
Zr: 0.0016 0.0000 0.5034
Zr: 0.0602 0.0000 0.3084
Zr: 0.0682 0.0000 0.8094
Zr: 0.1597 0.5000 0.1419
Zr: 0.1665 0.5000 0.6437
Zr: 0.2230 0.5000 0.4678
Zr: 0.2288 0.5000 0.9724
Zr: 0.3333 0.0000 0.8360
Zr: 0.3364 0.0000 0.3397
Zr: 0.3957 0.0000 0.6662
Zr: 0.4009 0.0000 0.1678
N: 0.0635 0.5000 0.2318
N: 0.1572 0.0000 0.0478
N: 0.1579 0.0000 0.5414
N: 0.2028 0.0000 0.3832
N: 0.2026 0.0000 0.8904
N: 0.2303 0.0000 0.7179
N: 0.3592 0.5000 0.9195
N: 0.3595 0.5000 0.4230
N: 0.4028 0.5000 0.2603
N: 0.4089 0.5000 0.7588
N: 0.4959 0.0000 0.0745
N: 0.4978 0.0000 0.5806
O: 0.0306 0.5000 0.4043
O: 0.0335 0.5000 0.8985
O: 0.0622 0.5000 0.7341
O: 0.2408 0.0000 0.2121
O: 0.3170 0.5000 0.5954
O: 0.3223 0.5000 0.0941

Energy relative to the elements ... -2.123 eV/atom
Electronic total energy ... -9.7291 eV/atom


## Mg5Si9 (PBE-GGA)

Data for an optimized crystal structure of Mg5Si9.

a b c (Å): 6.7085 7.4898 12.0653
angles (deg): 84.00 82.32 63.54
Space group P1 (No. 1)
One atom of each set of equivalent atoms:
Mg: 0.0000 0.0000 0.0000
Mg: 0.0312 0.2235 0.2185
Mg: 0.1898 0.5503 0.1029
Mg: 0.2473 0.2411 0.5820
Mg: 0.4469 0.9627 0.3815
Mg: 0.4918 0.0002 0.0219
Mg: 0.6550 0.4599 0.6539
Mg: 0.7063 0.4813 0.0552
Mg: 0.8170 0.6791 0.8313
Mg: 0.9085 0.5700 0.4379
Si: 0.0105 0.2363 0.7924
Si: 0.0695 0.8746 0.3880
Si: 0.1211 0.3239 0.9540
Si: 0.1448 0.7213 0.6964
Si: 0.2534 0.5968 0.5165
Si: 0.3012 0.8215 0.2079
Si: 0.3158 0.9073 0.7504
Si: 0.3536 0.3342 0.2988
Si: 0.3642 0.4446 0.8435
Si: 0.3981 0.7104 0.9257
Si: 0.5856 0.4212 0.3951
Si: 0.5888 0.8575 0.5928
Si: 0.6478 0.1630 0.1583
Si: 0.6894 0.6331 0.2487
Si: 0.7090 0.1340 0.8236
Si: 0.8044 0.0106 0.6396
Si: 0.8871 0.8453 0.2357
Si: 0.9133 0.1846 0.4829

Excess energy over the best structure of this formula in the dataset ... 11 meV per atom
Energy relative to the elements ... 0.163 eV/atom
Electronic total energy ... -3.9423 eV/atom


## Nb5Pt3O (PBE-GGA)

Data for an optimized crystal structure of Nb5Pt3O.

a b c (Å): 8.0605 8.0605 5.0784
angles (deg): 90.00 90.00 120.00
Space group P6_3/mcm (No. 193)
One atom of each set of equivalent atoms:
Nb: 0.0000 0.2375 0.2500
Nb: 0.3333 0.6667 0.0000
Pt: 0.0000 0.4042 0.7500
O: 0.0000 0.0000 0.0000

Energy relative to the elements ... -0.911 eV/atom
Electronic total energy ... -9.0204 eV/atom


## Rb3SbBr6 (PBE-GGA)

Data for an optimized crystal structure of Rb3SbBr6.

a b c (Å): 12.1437 12.1437 12.1437
angles (deg): 90.00 90.00 90.00
Space group Fm-3m (No. 225)
One atom of each set of equivalent atoms:
Rb: 0.0000 0.0000 0.0000
Rb: 0.2500 0.2500 0.2500
Sb: 0.0000 0.0000 0.5000
Br: 0.0000 0.0000 0.2684

Energy relative to the elements ... -1.598 eV/atom
Electronic total energy ... -2.9664 eV/atom


## ZnHgC4Se4N4 (PBE-GGA)

Data for an optimized crystal structure of ZnHgC4Se4N4.

a b c (Å): 11.5053 11.5053 4.9215
angles (deg): 90.00 90.00 90.00
Space group I-4 (No. 82)
One atom of each set of equivalent atoms:
Zn: 0.0000 0.0000 0.0000
Hg: 0.0000 0.5000 0.7500
C: 0.0731 0.2162 0.6445
Se: 0.1171 0.3416 0.4474
N: 0.0460 0.1333 0.7691

Energy relative to the elements ... 0.111 eV/atom
Electronic total energy ... -5.9148 eV/atom


## ZnHgS2 (PBE-GGA)

Data for an optimized crystal structure of ZnHgS2.

a b c (Å): 4.0367 4.0367 19.9509
angles (deg): 90.00 90.00 120.00
Space group R3m (No. 160, hexagonal axes)
One atom of each set of equivalent atoms:
Zn: 0.0000 0.0000 0.0000
Hg: 0.0000 0.0000 0.5037
S: 0.0000 0.0000 0.1176
S: 0.0000 0.0000 0.6322

Energy relative to the elements ... -0.681 eV/atom
Electronic total energy ... -2.8887 eV/atom